Record 1
Entry from the Materials Project: a geometry-optimized GaGePS2O12 structure (PBE).

a = 8.3871 Å, b = 8.3973 Å, c = 21.7799 Å
α = 89.85°, β = 90.00°, γ = 119.96°
With the nearest neighbours (Å) after each atom.
Sites, in units of the cell vectors:
Ga (0.0008, 0.0001, 0.3544)  6 O 1.87-1.98
Ga (0.9994, 0.0001, 0.8544)  6 O 1.87-1.98
Ga (0.6798, 0.3421, 0.6882)  6 O 1.84-2.03
Ga (0.6623, 0.3421, 0.1882)  6 O 1.84-2.03
Ga (0.3286, 0.6528, 0.0210)  6 O 1.85-2.02
Ga (0.3242, 0.6528, 0.5210)  6 O 1.85-2.02
Ge (0.0012, 0.0008, 0.6464)  6 O 1.84-1.97
Ge (0.9997, 0.0008, 0.1464)  6 O 1.84-1.97
Ge (0.6649, 0.3316, 0.9800)  6 O 1.84-1.96
Ge (0.6667, 0.3316, 0.4800)  6 O 1.84-1.96
Ge (0.3447, 0.6613, 0.3131)  6 O 1.82-2.01
Ge (0.3166, 0.6613, 0.8131)  6 O 1.82-2.01
P (0.7149, 0.7149, 0.2508)  4 O 1.51-1.58
P (0.0000, 0.7149, 0.7508)  4 O 1.51-1.58
P (0.9543, 0.3301, 0.5838)  4 O 1.51-1.58
P (0.3758, 0.3301, 0.0838)  4 O 1.51-1.58
P (0.0393, 0.3735, 0.9176)  4 O 1.51-1.58
P (0.3343, 0.3735, 0.4176)  4 O 1.51-1.58
S (0.2907, 0.9965, 0.2510)  4 O 1.46-1.51
S (0.9997, 0.2919, 0.2503)  4 O 1.46-1.51
S (0.2922, 0.2919, 0.7503)  4 O 1.46-1.51
S (0.7058, 0.9965, 0.7510)  4 O 1.46-1.51
S (0.3767, 0.0428, 0.5842)  4 O 1.45-1.51
S (0.6677, 0.6248, 0.5838)  4 O 1.46-1.50
S (0.9571, 0.6248, 0.0838)  4 O 1.46-1.50
S (0.6660, 0.0428, 0.0842)  4 O 1.45-1.51
S (0.6214, 0.6659, 0.9166)  4 O 1.45-1.50
S (0.3349, 0.9565, 0.9178)  4 O 1.45-1.51
S (0.6216, 0.9565, 0.4178)  4 O 1.45-1.51
S (0.0445, 0.6659, 0.4166)  4 O 1.45-1.50
O (0.2121, 0.0345, 0.3050)  1 S 1.46
O (0.8324, 0.8003, 0.3073)  1 P 1.52
O (0.9659, 0.1786, 0.3050)  1 S 1.46
O (0.2127, 0.1786, 0.8050)  1 S 1.46
O (0.9678, 0.8003, 0.8073)  1 P 1.52
O (0.8224, 0.0345, 0.8050)  1 S 1.46
O (0.7845, 0.9582, 0.6945)  1 S 1.51
O (0.1725, 0.2157, 0.6942)  1 S 1.51
O (0.0413, 0.8387, 0.6916)  1 P 1.58
O (0.7975, 0.8387, 0.1916)  1 P 1.58
O (0.0432, 0.2157, 0.1942)  1 S 1.51
O (0.1737, 0.9582, 0.1945)  1 S 1.51
O (0.8697, 0.3644, 0.6399)  1 P 1.51
O (0.4893, 0.1247, 0.6390)  1 S 1.46
O (0.6289, 0.5081, 0.6382)  1 S 1.47
O (0.8792, 0.5081, 0.1382)  1 S 1.47
O (0.6353, 0.1247, 0.1390)  1 S 1.46
O (0.4947, 0.3644, 0.1399)  1 P 1.51
O (0.4599, 0.2898, 0.0249)  1 P 1.58
O (0.8392, 0.5469, 0.0277)  1 S 1.50
O (0.7085, 0.1617, 0.0277)  1 S 1.51
O (0.4532, 0.1617, 0.5277)  1 S 1.51
O (0.7077, 0.5469, 0.5277)  1 S 1.50
O (0.8299, 0.2898, 0.5249)  1 P 1.58
O (0.5436, 0.7028, 0.9715)  1 S 1.47
O (0.1599, 0.4590, 0.9733)  1 P 1.51
O (0.3034, 0.8428, 0.9726)  1 S 1.46
O (0.5395, 0.8428, 0.4726)  1 S 1.46
O (0.2991, 0.4590, 0.4733)  1 P 1.51
O (0.1592, 0.7028, 0.4715)  1 S 1.47
O (0.1240, 0.6280, 0.3603)  1 S 1.50
O (0.5034, 0.8803, 0.3612)  1 S 1.51
O (0.3775, 0.4992, 0.3590)  1 P 1.58
O (0.1217, 0.4992, 0.8590)  1 P 1.58
O (0.3770, 0.8803, 0.8612)  1 S 1.51
O (0.5040, 0.6280, 0.8603)  1 S 1.50
O (0.0237, 0.8267, 0.4091)  1 S 1.45
O (0.8022, 0.9752, 0.4097)  1 S 1.45
O (0.1668, 0.1872, 0.4067)  1 P 1.51
O (0.0203, 0.1872, 0.9067)  1 P 1.51
O (0.1730, 0.9752, 0.9097)  1 S 1.45
O (0.8030, 0.8267, 0.9091)  1 S 1.45
O (0.9728, 0.1552, 0.5928)  1 P 1.56
O (0.1921, 0.0271, 0.5903)  1 S 1.49
O (0.8366, 0.8076, 0.5908)  1 S 1.49
O (0.9710, 0.8076, 0.0908)  1 S 1.49
O (0.8350, 0.0271, 0.0903)  1 S 1.49
O (0.1824, 0.1552, 0.0928)  1 P 1.56
O (0.6832, 0.1563, 0.7425)  1 S 1.46
O (0.4716, 0.3080, 0.7408)  1 S 1.46
O (0.8325, 0.5271, 0.7424)  1 P 1.51
O (0.6946, 0.5271, 0.2424)  1 P 1.51
O (0.8364, 0.3080, 0.2408)  1 S 1.46
O (0.4731, 0.1563, 0.2425)  1 S 1.46
O (0.6372, 0.4975, 0.9237)  1 S 1.49
O (0.8473, 0.3581, 0.9268)  1 P 1.56
O (0.5030, 0.1408, 0.9236)  1 S 1.49
O (0.6378, 0.1408, 0.4236)  1 S 1.49
O (0.5108, 0.3581, 0.4268)  1 P 1.56
O (0.8603, 0.4975, 0.4237)  1 S 1.49
O (0.3581, 0.4991, 0.0753)  1 P 1.51
O (0.1398, 0.6483, 0.0756)  1 S 1.46
O (0.5038, 0.8634, 0.0748)  1 S 1.45
O (0.3596, 0.8634, 0.5748)  1 S 1.45
O (0.5085, 0.6483, 0.5756)  1 S 1.46
O (0.1410, 0.4991, 0.5753)  1 P 1.51
O (0.3036, 0.8269, 0.2588)  1 S 1.49
O (0.5217, 0.6986, 0.2574)  1 P 1.56
O (0.1662, 0.4773, 0.2573)  1 S 1.49
O (0.3111, 0.4773, 0.7573)  1 S 1.49
O (0.1769, 0.6986, 0.7574)  1 P 1.56
O (0.5233, 0.8269, 0.7588)  1 S 1.49

Values from the calculation:
formation enthalpy at 0 K = -34.654 eV per formula unit
space-group type = No. 9

---

Record 2
Entry from the Materials Project: a geometry-optimized Ba5Sn2S8 structure (PBE).

a = 13.4720 Å, b = 13.4720 Å, c = 12.1642 Å
α = 90.00°, β = 90.00°, γ = 126.42°
With the nearest neighbours (Å) after each atom.
Sites, in units of the cell vectors:
Ba (0.3984, 0.5908, 0.6657)  5 S 3.11-3.34
Ba (0.4092, 0.6016, 0.3343)  5 S 3.11-3.34
Ba (0.9092, 0.1016, 0.1657)  5 S 3.11-3.34
Ba (0.8984, 0.0908, 0.8343)  5 S 3.11-3.34
Ba (0.6016, 0.4092, 0.3343)  5 S 3.11-3.34
Ba (0.5908, 0.3984, 0.6657)  5 S 3.11-3.34
Ba (0.0908, 0.8984, 0.8343)  5 S 3.11-3.34
Ba (0.1016, 0.9092, 0.1657)  5 S 3.11-3.34
Ba (0.0684, 0.2628, 0.4981)  6 S 3.10-3.44
Ba (0.7372, 0.9316, 0.5019)  6 S 3.10-3.44
Ba (0.2372, 0.4316, 0.9981)  6 S 3.10-3.44
Ba (0.5684, 0.7628, 0.0019)  6 S 3.10-3.44
Ba (0.9316, 0.7372, 0.5019)  6 S 3.10-3.44
Ba (0.2628, 0.0684, 0.4981)  6 S 3.10-3.44
Ba (0.7628, 0.5684, 0.0019)  6 S 3.10-3.44
Ba (0.4316, 0.2372, 0.9981)  6 S 3.10-3.44
Ba (0.0073, 0.5073, 0.2500)  6 S 3.25-3.55
Ba (0.4927, 0.9927, 0.7500)  6 S 3.25-3.55
Ba (0.9927, 0.4927, 0.7500)  6 S 3.25-3.55
Ba (0.5073, 0.0073, 0.2500)  6 S 3.25-3.55
Sn (0.7686, 0.7686, 0.2523)  4 S 2.69-2.77
Sn (0.2314, 0.2314, 0.7477)  4 S 2.69-2.77
Sn (0.7314, 0.7314, 0.7523)  4 S 2.69-2.77
Sn (0.2686, 0.2686, 0.2477)  4 S 2.69-2.77
Sn (0.7496, 0.2504, 0.0000)  4 S 2.39
Sn (0.2496, 0.7504, 0.5000)  4 S 2.39
Sn (0.2504, 0.7496, 0.0000)  4 S 2.39
Sn (0.7504, 0.2496, 0.5000)  4 S 2.39
S (0.9665, 0.9665, 0.3519)  1 Sn 2.69
S (0.0335, 0.0335, 0.6481)  1 Sn 2.69
S (0.5335, 0.5335, 0.8519)  1 Sn 2.69
S (0.4665, 0.4665, 0.1481)  1 Sn 2.69
S (0.8121, 0.1844, 0.6508)  1 Sn 2.39
S (0.8156, 0.1879, 0.3492)  1 Sn 2.39
S (0.3156, 0.6879, 0.1508)  1 Sn 2.39
S (0.3121, 0.6844, 0.8492)  1 Sn 2.39
S (0.1879, 0.8156, 0.3492)  1 Sn 2.39
S (0.1844, 0.8121, 0.6508)  1 Sn 2.39
S (0.6844, 0.3121, 0.8492)  1 Sn 2.39
S (0.6879, 0.3156, 0.1508)  1 Sn 2.39
S (0.9641, 0.3373, 0.9950)  1 Sn 2.39
S (0.6627, 0.0359, 0.0050)  1 Sn 2.39
S (0.1627, 0.5359, 0.4950)  1 Sn 2.39
S (0.4641, 0.8373, 0.5050)  1 Sn 2.39
S (0.0359, 0.6627, 0.0050)  1 Sn 2.39
S (0.3373, 0.9641, 0.9950)  1 Sn 2.39
S (0.8373, 0.4641, 0.5050)  1 Sn 2.39
S (0.5359, 0.1627, 0.4950)  1 Sn 2.39
S (0.8688, 0.6390, 0.2507)  1 Sn 2.77
S (0.3610, 0.1312, 0.7493)  1 Sn 2.77
S (0.8610, 0.6312, 0.7507)  1 Sn 2.77
S (0.3688, 0.1390, 0.2493)  1 Sn 2.77
S (0.1312, 0.3610, 0.7493)  1 Sn 2.77
S (0.6390, 0.8688, 0.2507)  1 Sn 2.77
S (0.1390, 0.3688, 0.2493)  1 Sn 2.77
S (0.6312, 0.8610, 0.7507)  1 Sn 2.77
S (0.8484, 0.8484, 0.0454)  1 Sn 2.70
S (0.1516, 0.1516, 0.9546)  1 Sn 2.70
S (0.6516, 0.6516, 0.5454)  1 Sn 2.70
S (0.3484, 0.3484, 0.4546)  1 Sn 2.70

Values from the calculation:
formation enthalpy at 0 K = -26.503 eV per formula unit
space-group type = No. 64

---

Record 3
Entry from the Materials Project: a geometry-optimized Ba3SbP structure (PBE).

a = 6.4835 Å, b = 6.4835 Å, c = 6.4835 Å
α = 90.00°, β = 90.00°, γ = 90.00°
With the nearest neighbours (Å) after each atom.
Sites, in units of the cell vectors:
Ba (0.0000, 0.5000, 0.5000)  2 Sb 3.24
Ba (0.5000, 0.0000, 0.5000)  2 Sb 3.24
Ba (0.5000, 0.5000, 0.0000)  2 Sb 3.24
Sb (0.5000, 0.5000, 0.5000)  6 Ba 3.24
P (0.0000, 0.0000, 0.0000)  12 Ba 4.58

Values from the calculation:
excess energy over the best structure of this formula in the dataset = 579 meV per atom
formation enthalpy at 0 K = -1.324 eV per formula unit
space-group type = No. 221

---

Record 4
Entry from the Materials Project: a geometry-optimized DyAlO3 structure (PBE).

a = 5.2195 Å, b = 5.3757 Å, c = 7.4487 Å
α = 90.00°, β = 90.00°, γ = 90.00°
With the nearest neighbours (Å) after each atom.
Sites, in units of the cell vectors:
Dy (0.0134, 0.9461, 0.7500)  6 O 2.26-2.47
Dy (0.4866, 0.4461, 0.7500)  6 O 2.26-2.47
Dy (0.5134, 0.5539, 0.2500)  6 O 2.26-2.47
Dy (0.9866, 0.0539, 0.2500)  6 O 2.26-2.47
Al (0.0000, 0.5000, 0.0000)  6 O 1.92-1.94
Al (0.0000, 0.5000, 0.5000)  6 O 1.92-1.94
Al (0.5000, 0.0000, 0.0000)  6 O 1.92-1.94
Al (0.5000, 0.0000, 0.5000)  6 O 1.92-1.94
O (0.0876, 0.4770, 0.2500)  2 Al 1.92
O (0.2068, 0.2067, 0.5462)  2 Al 1.92-1.94
O (0.2068, 0.2067, 0.9538)  2 Al 1.92-1.94
O (0.2932, 0.7067, 0.5462)  2 Al 1.92-1.94
O (0.2932, 0.7067, 0.9538)  2 Al 1.92-1.94
O (0.4124, 0.9770, 0.2500)  2 Al 1.92
O (0.5876, 0.0230, 0.7500)  2 Al 1.92
O (0.7068, 0.2933, 0.0462)  2 Al 1.92-1.94
O (0.7068, 0.2933, 0.4538)  2 Al 1.92-1.94
O (0.7932, 0.7933, 0.0462)  2 Al 1.92-1.94
O (0.7932, 0.7933, 0.4538)  2 Al 1.92-1.94
O (0.9124, 0.5230, 0.7500)  2 Al 1.92

Values from the calculation:
formation enthalpy at 0 K = -18.741 eV per formula unit
space-group type = No. 62